# 1
This record from Materials Project describes a geometry-optimized Rb2TlCrF6 structure. The functional is GGA+U.

Structure (POSCAR):
```
Rb2TlCrF6
1.0
6.488 0.000 0.000
3.244 5.619 0.000
3.244 1.873 5.297
Cr F Rb Tl
1 6 2 1
Direct
0.000 0.000 0.000
0.212 0.212 0.788
0.212 0.788 0.212
0.212 0.788 0.788
0.788 0.212 0.788
0.788 0.212 0.212
0.788 0.788 0.212
0.250 0.250 0.250
0.750 0.750 0.750
0.500 0.500 0.500
```

Results
The value obtained for the volume is 193 Å³/cell. The calculation puts the energy at -4.943 eV/atom.


# 2
This record from Materials Project describes a geometry-optimized KNa2MnF6 structure. The functional is GGA+U.

Structure (POSCAR):
```
KNa2MnF6
1.0
6.217 0.000 0.000
3.109 5.384 0.000
3.109 1.795 5.076
K F Mn Na
1 6 1 2
Direct
0.500 0.500 0.500
0.779 0.221 0.779
0.221 0.221 0.779
0.221 0.779 0.779
0.221 0.779 0.221
0.779 0.779 0.221
0.779 0.221 0.221
0.000 0.000 0.000
0.250 0.250 0.250
0.750 0.750 0.750
```

Results
The value obtained for the volume is 170 Å³/cell. The calculation puts the energy at -4.724 eV/atom.


# 3
This record from Materials Project describes a geometry-optimized Ba3La3Mn2W3O18 structure. The functional is GGA+U.

Structure (POSCAR):
```
Ba3La3Mn2W3O18
1.0
13.969 -2.914 0.000
13.969 2.914 0.000
13.361 0.000 5.011
O W Mn La Ba
18 3 2 3 3
Direct
0.363 0.855 0.855
0.855 0.855 0.363
0.888 0.430 0.430
0.855 0.363 0.855
0.139 0.139 0.642
0.565 0.115 0.565
0.199 0.692 0.692
0.308 0.795 0.308
0.308 0.308 0.795
0.795 0.308 0.308
0.565 0.565 0.115
0.430 0.430 0.888
0.430 0.888 0.430
0.139 0.642 0.139
0.692 0.199 0.692
0.692 0.692 0.199
0.642 0.139 0.139
0.115 0.565 0.565
0.553 0.553 0.553
0.447 0.447 0.447
0.000 0.000 0.000
0.724 0.724 0.724
0.277 0.277 0.277
0.366 0.366 0.366
0.640 0.640 0.640
0.820 0.820 0.820
0.190 0.190 0.190
0.916 0.916 0.916
0.085 0.085 0.085
```

Results
The value obtained for the volume is 408 Å³/cell. The calculation puts the energy at -7.609 eV/atom.


# 4
This record from Materials Project describes a geometry-optimized LiVP3O9 structure. The functional is GGA+U.

Structure (POSCAR):
```
LiVP3O9
1.0
0.001 0.000 -7.069
5.178 -8.970 -0.001
-10.361 -5.984 2.358
O Li P V
36 4 12 4
Direct
0.572 0.648 0.299
0.325 0.822 0.787
0.324 0.147 0.550
0.147 0.834 0.944
0.634 0.139 0.405
0.476 0.876 0.240
0.467 0.527 0.902
0.012 0.476 0.614
0.227 0.376 0.491
0.396 0.335 0.693
0.637 0.802 0.722
0.835 0.876 0.085
0.335 0.876 0.586
0.727 0.376 0.991
0.512 0.476 0.114
0.216 0.026 0.152
0.825 0.821 0.287
0.085 0.376 0.836
0.716 0.026 0.652
0.646 0.834 0.443
0.824 0.147 0.050
0.584 0.376 0.336
0.073 0.648 0.800
0.883 0.639 0.154
0.576 0.321 0.537
0.976 0.876 0.741
0.387 0.303 0.973
0.896 0.335 0.194
0.383 0.639 0.654
0.134 0.139 0.905
0.137 0.802 0.222
0.887 0.303 0.472
0.761 0.976 0.864
0.967 0.527 0.402
0.261 0.976 0.364
0.076 0.321 0.037
0.892 0.500 0.750
0.392 0.500 0.250
0.642 0.000 0.000
0.142 0.000 0.500
0.660 0.280 0.427
0.910 0.780 0.177
0.267 0.933 0.247
0.377 0.287 0.577
0.017 0.433 0.497
0.161 0.280 0.927
0.767 0.933 0.747
0.410 0.780 0.677
0.627 0.787 0.326
0.877 0.287 0.077
0.127 0.787 0.826
0.517 0.433 0.997
0.012 0.000 0.000
0.262 0.500 0.750
0.761 0.500 0.250
0.512 0.000 0.500
```

Results
The value obtained for the volume is 876 Å³/cell. For the relative energy among the computed polymorphs, the calculation gives 37 meV per atom.


# 5
This record from Materials Project describes a geometry-optimized Li3V4CrO8 structure. The functional is GGA+U.

Structure (POSCAR):
```
Li3V4CrO8
1.0
-3.660 -3.681 3.121
2.259 -3.223 4.604
-1.541 1.371 5.728
O Li V Cr
8 3 4 1
Direct
0.729 0.254 0.246
0.250 0.250 0.727
0.746 0.271 0.754
0.271 0.746 0.754
0.741 0.741 0.749
0.259 0.259 0.251
0.750 0.750 0.273
0.254 0.729 0.246
0.000 0.500 0.000
0.500 0.000 0.000
0.000 0.000 0.500
0.000 0.500 0.500
0.000 0.000 0.000
0.500 0.000 0.500
0.500 0.500 0.500
0.500 0.500 0.000
```

Results
The value obtained for the volume is 159 Å³/cell. The calculation puts the energy at -7.157 eV/atom.


# 6
This record from Materials Project describes a geometry-optimized ZnCr2O7 structure. The functional is GGA+U.

Structure (POSCAR):
```
ZnCr2O7
1.0
-4.659 -3.999 -3.549
2.958 -5.111 1.877
-3.066 -2.279 6.594
O Cr Zn
14 4 2
Direct
0.564 0.121 0.764
0.756 0.286 0.017
0.622 0.862 0.171
0.419 0.193 0.226
0.541 0.580 0.731
0.856 0.401 0.649
0.356 0.599 0.351
0.064 0.879 0.236
0.247 0.944 0.587
0.041 0.420 0.269
0.919 0.807 0.774
0.122 0.138 0.829
0.256 0.714 0.983
0.747 0.056 0.413
0.635 0.099 0.211
0.179 0.652 0.217
0.679 0.348 0.783
0.135 0.901 0.789
0.156 0.117 0.337
0.656 0.883 0.663
```

Results
The value obtained for the volume is 318 Å³/cell. The maximum piezoelectric response comes out at 0.59 C/m². The calculation puts the energy at -6.225 eV/atom.


# 7
This record from Materials Project describes a geometry-optimized Li2Ti2V3O10 structure. The functional is GGA+U.

Structure (POSCAR):
```
Li2Ti2V3O10
1.0
5.091 -0.748 0.163
2.643 7.241 0.667
-3.143 -2.522 9.655
O Ti V Li
20 4 6 4
Direct
0.786 0.134 0.469
0.280 0.221 0.593
0.201 0.067 0.848
0.284 0.210 0.110
0.721 0.779 0.407
0.768 0.518 0.026
0.784 0.937 0.662
0.843 0.308 0.257
0.215 0.858 0.019
0.231 0.482 0.974
0.157 0.691 0.743
0.785 0.142 0.981
0.826 0.320 0.759
0.225 0.494 0.471
0.716 0.790 0.890
0.775 0.506 0.529
0.174 0.680 0.241
0.799 0.933 0.152
0.214 0.866 0.531
0.216 0.063 0.338
0.002 0.688 0.559
0.998 0.312 0.441
0.978 0.317 0.931
0.022 0.683 0.069
0.500 0.000 0.500
0.962 0.894 0.346
0.038 0.106 0.654
0.042 0.112 0.158
0.958 0.888 0.842
0.500 0.000 0.000
0.443 0.601 0.889
0.557 0.399 0.111
0.546 0.393 0.605
0.453 0.608 0.395
```

Results
The value obtained for the volume is 388 Å³/cell. For the relative energy among the computed polymorphs, the calculation gives 0 meV per atom.


# 8
This record from Materials Project describes a geometry-optimized Li9Mn2Co5O16 structure. The functional is GGA+U.

Structure (POSCAR):
```
Li9Mn2Co5O16
1.0
-2.307 1.826 -4.248
-1.832 3.200 4.589
8.471 5.439 -0.087
Li Co O Mn
9 5 16 2
Direct
0.502 0.134 0.867
0.493 0.613 0.866
0.498 0.122 0.379
0.496 0.630 0.382
0.498 0.376 0.628
0.002 0.253 0.751
0.501 0.381 0.121
0.501 0.867 0.125
0.508 0.881 0.631
0.999 0.748 0.750
0.995 0.492 0.509
0.007 0.497 0.998
0.995 0.749 0.249
0.001 0.003 0.508
0.779 0.458 0.827
0.781 0.434 0.300
0.230 0.309 0.425
0.788 0.188 0.063
0.209 0.795 0.425
0.770 0.936 0.827
0.227 0.541 0.178
0.215 0.060 0.188
0.240 0.290 0.943
0.232 0.049 0.677
0.236 0.575 0.685
0.222 0.815 0.947
0.760 0.687 0.564
0.762 0.198 0.555
0.769 0.960 0.314
0.779 0.707 0.073
0.002 0.250 0.250
0.002 0.002 0.997
```

Results
The value obtained for the volume is 286 Å³/cell. For the relative energy among the computed polymorphs, the calculation gives 44 meV per atom.


# 9
This record from Materials Project describes a geometry-optimized MgFe3O3F3 structure. The functional is GGA+U.

Structure (POSCAR):
```
MgFe3O3F3
1.0
-2.548 1.281 4.628
0.441 -5.757 -1.328
2.830 1.809 4.301
F Fe O Mg
3 3 3 1
Direct
0.494 0.720 0.295
0.301 0.729 0.927
0.934 0.714 0.487
0.332 0.993 0.328
0.735 0.215 0.740
0.126 0.367 0.122
0.405 0.233 0.702
0.701 0.234 0.123
0.122 0.235 0.414
0.511 0.531 0.509
```

Results
The value obtained for the volume is 129 Å³/cell. For the relative energy among the computed polymorphs, the calculation gives 29 meV per atom.


# 10
This record from Materials Project describes a geometry-optimized LiCrSiO4 structure. The functional is GGA+U.

Structure (POSCAR):
```
LiCrSiO4
1.0
4.773 0.000 0.000
0.000 5.778 0.000
0.000 0.000 10.194
O Cr Si Li
16 4 4 4
Direct
0.311 0.506 0.443
0.721 0.789 0.329
0.811 0.006 0.057
0.689 0.006 0.557
0.220 0.007 0.400
0.721 0.224 0.329
0.189 0.506 0.943
0.279 0.724 0.671
0.221 0.724 0.171
0.780 0.507 0.600
0.779 0.789 0.829
0.221 0.289 0.171
0.280 0.007 0.900
0.779 0.224 0.829
0.720 0.507 0.100
0.279 0.289 0.671
0.499 0.007 0.731
0.999 0.507 0.769
0.001 0.007 0.231
0.501 0.507 0.269
0.059 0.507 0.092
0.559 0.007 0.408
0.441 0.507 0.592
0.941 0.007 0.908
0.000 0.756 0.500
0.500 0.256 0.000
0.000 0.256 0.500
0.500 0.756 0.000
```

Results
The value obtained for the volume is 281 Å³/cell. For the relative energy among the computed polymorphs, the calculation gives 0 meV per atom.


# 11
This record from Materials Project describes a geometry-optimized FeOF structure. The functional is GGA+U.

Structure (POSCAR):
```
FeOF
1.0
3.130 0.000 0.000
0.000 9.586 0.000
0.000 0.014 14.310
O F Fe
12 12 12
Direct
0.500 0.594 0.396
0.500 0.403 0.940
0.500 0.900 0.271
0.500 0.405 0.601
0.000 0.849 0.770
0.000 0.851 0.434
0.000 0.146 0.236
0.500 0.907 0.938
0.000 0.341 0.432
0.000 0.843 0.102
0.500 0.094 0.063
0.000 0.351 0.770
0.500 0.601 0.733
0.500 0.105 0.733
0.000 0.647 0.229
0.500 0.595 0.067
0.000 0.658 0.567
0.000 0.346 0.106
0.000 0.149 0.568
0.000 0.652 0.901
0.500 0.899 0.597
0.500 0.097 0.405
0.500 0.401 0.264
0.000 0.153 0.895
0.000 0.485 0.663
0.000 0.993 0.670
0.000 0.988 0.329
0.500 0.272 0.831
0.000 0.488 0.997
0.500 0.217 0.171
0.000 0.500 0.343
0.500 0.773 0.165
0.500 0.777 0.833
0.000 0.994 0.004
0.500 0.269 0.497
0.500 0.755 0.482
```

Results
The value obtained for the volume is 429 Å³/cell. The calculation puts the energy at -5.994 eV/atom.


# 12
This record from Materials Project describes a geometry-optimized LiFe2OF3 structure. The functional is GGA+U.

Structure (POSCAR):
```
LiFe2OF3
1.0
-3.675 1.325 -4.796
-5.039 -0.791 3.643
0.228 8.298 2.117
Fe Li F O
8 4 12 4
Direct
0.739 0.775 0.858
0.261 0.225 0.358
0.742 0.000 0.500
0.000 0.758 0.250
0.000 0.242 0.750
0.261 0.775 0.642
0.739 0.225 0.142
0.258 0.000 0.000
0.500 0.761 0.250
0.257 0.500 0.000
0.743 0.500 0.500
0.500 0.239 0.750
0.983 0.271 0.494
0.508 0.272 0.507
0.017 0.271 0.006
0.754 0.484 0.742
0.983 0.729 0.506
0.754 0.516 0.258
0.492 0.272 0.993
0.508 0.728 0.493
0.246 0.484 0.758
0.246 0.516 0.242
0.492 0.728 0.007
0.017 0.729 0.994
0.250 0.027 0.769
0.250 0.973 0.231
0.750 0.973 0.269
0.750 0.027 0.731
```

Results
The value obtained for the volume is 332 Å³/cell. For the relative energy among the computed polymorphs, the calculation gives 48 meV per atom.